The following is a PBE calculation of a geometry-optimized Cu8NiSb3S13N6 structure, from the Materials Project database.

Calculated values
Its space group is Fm-3c (226). For the energy of formation from the pure elements, the calculation gives 0.446 eV/atom.

a = 12.539 Å, b = 12.539 Å, c = 12.539 Å
α = 60.00°, β = 60.00°, γ = 60.00°
Atoms (fractional coordinates):
Cu: 0.085 0.085 0.085
Cu: 0.085 0.085 0.746
Cu: 0.085 0.746 0.085
Cu: 0.246 0.585 0.585
Cu: 0.254 0.915 0.915
Cu: 0.415 0.415 0.415
Cu: 0.415 0.415 0.754
Cu: 0.415 0.754 0.415
Cu: 0.585 0.246 0.585
Cu: 0.585 0.585 0.246
Cu: 0.585 0.585 0.585
Cu: 0.746 0.085 0.085
Cu: 0.754 0.415 0.415
Cu: 0.915 0.254 0.915
Cu: 0.915 0.915 0.254
Cu: 0.915 0.915 0.915
Ni: 0.250 0.250 0.250
Ni: 0.750 0.750 0.750
Sb: 0.250 0.250 0.750
Sb: 0.250 0.750 0.250
Sb: 0.250 0.750 0.750
Sb: 0.750 0.250 0.250
Sb: 0.750 0.250 0.750
Sb: 0.750 0.750 0.250
S: 0.000 0.000 0.000
S: 0.061 0.290 0.710
S: 0.061 0.710 0.939
S: 0.061 0.939 0.290
S: 0.210 0.439 0.790
S: 0.210 0.561 0.439
S: 0.210 0.790 0.561
S: 0.290 0.061 0.939
S: 0.290 0.710 0.061
S: 0.290 0.939 0.710
S: 0.439 0.210 0.561
S: 0.439 0.561 0.790
S: 0.439 0.790 0.210
S: 0.500 0.500 0.500
S: 0.561 0.210 0.790
S: 0.561 0.439 0.210
S: 0.561 0.790 0.439
S: 0.710 0.061 0.290
S: 0.710 0.290 0.939
S: 0.710 0.939 0.061
S: 0.790 0.210 0.439
S: 0.790 0.439 0.561
S: 0.790 0.561 0.210
S: 0.939 0.061 0.710
S: 0.939 0.290 0.061
S: 0.939 0.710 0.290
N: 0.145 0.145 0.355
N: 0.145 0.355 0.145
N: 0.145 0.355 0.355
N: 0.355 0.145 0.145
N: 0.355 0.145 0.355
N: 0.355 0.355 0.145
N: 0.645 0.645 0.855
N: 0.645 0.855 0.645
N: 0.645 0.855 0.855
N: 0.855 0.645 0.645
N: 0.855 0.645 0.855
N: 0.855 0.855 0.645

The following is a PBE calculation of a geometry-optimized Cu3P8N2O24 structure, from the Materials Project database.

Calculated values
Its space group is P-1 (2). For the energy of formation from the pure elements, the calculation gives -1.816 eV/atom.

a = 7.339 Å, b = 8.092 Å, c = 9.868 Å
α = 69.00°, β = 69.24°, γ = 78.64°
Atoms (fractional coordinates):
Cu: 0.000 0.000 0.000
Cu: 0.372 0.449 0.403
Cu: 0.628 0.551 0.597
P: 0.053 0.704 0.561
P: 0.261 0.767 0.758
P: 0.269 0.843 0.235
P: 0.375 0.118 0.707
P: 0.625 0.882 0.293
P: 0.731 0.157 0.765
P: 0.739 0.233 0.242
P: 0.947 0.296 0.439
N: 0.279 0.352 0.048
N: 0.721 0.648 0.952
O: 0.114 0.854 0.394
O: 0.128 0.789 0.655
O: 0.140 0.768 0.916
O: 0.162 0.294 0.379
O: 0.169 0.527 0.555
O: 0.182 0.157 0.817
O: 0.197 0.956 0.105
O: 0.328 0.650 0.243
O: 0.374 0.947 0.663
O: 0.411 0.608 0.754
O: 0.451 0.942 0.217
O: 0.456 0.266 0.560
O: 0.544 0.734 0.440
O: 0.549 0.058 0.783
O: 0.589 0.392 0.246
O: 0.626 0.053 0.337
O: 0.672 0.350 0.757
O: 0.803 0.044 0.895
O: 0.818 0.843 0.183
O: 0.831 0.473 0.445
O: 0.838 0.706 0.621
O: 0.860 0.232 0.084
O: 0.872 0.211 0.345
O: 0.886 0.146 0.606

The following is a PBE calculation of a geometry-optimized CuSNO3 structure, from the Materials Project database.

Calculated values
Its space group is R-3m (166). For the energy of formation from the pure elements, the calculation gives -0.187 eV/atom.

a = 8.085 Å, b = 8.085 Å, c = 8.085 Å
α = 41.08°, β = 41.08°, γ = 41.08°
Atoms (fractional coordinates):
Cu: 0.213 0.213 0.213
Cu: 0.787 0.787 0.787
S: 0.114 0.114 0.114
S: 0.886 0.886 0.886
N: 0.362 0.362 0.362
N: 0.638 0.638 0.638
O: 0.053 0.053 0.622
O: 0.053 0.622 0.053
O: 0.378 0.947 0.947
O: 0.622 0.053 0.053
O: 0.947 0.378 0.947
O: 0.947 0.947 0.378

The following is a PBE calculation of a geometry-optimized CuSN4O5 structure, from the Materials Project database.

Calculated values
Its space group is Pnma (62). For the energy of formation from the pure elements, the calculation gives -0.575 eV/atom.

a = 10.026 Å, b = 7.647 Å, c = 10.598 Å
α = 90.00°, β = 90.00°, γ = 90.00°
Atoms (fractional coordinates):
Cu: 0.051 0.250 0.089
Cu: 0.449 0.750 0.589
Cu: 0.551 0.250 0.411
Cu: 0.949 0.750 0.911
S: 0.216 0.750 0.075
S: 0.284 0.250 0.575
S: 0.716 0.750 0.425
S: 0.784 0.250 0.925
N: 0.002 0.529 0.308
N: 0.002 0.971 0.308
N: 0.021 0.551 0.777
N: 0.021 0.949 0.777
N: 0.479 0.051 0.277
N: 0.479 0.449 0.277
N: 0.498 0.029 0.808
N: 0.498 0.471 0.808
N: 0.502 0.529 0.192
N: 0.502 0.971 0.192
N: 0.521 0.551 0.723
N: 0.521 0.949 0.723
N: 0.979 0.051 0.223
N: 0.979 0.449 0.223
N: 0.998 0.029 0.692
N: 0.998 0.471 0.692
O: 0.065 0.750 0.047
O: 0.214 0.250 0.146
O: 0.225 0.091 0.519
O: 0.225 0.409 0.519
O: 0.228 0.750 0.213
O: 0.272 0.250 0.713
O: 0.275 0.591 0.019
O: 0.275 0.909 0.019
O: 0.286 0.750 0.646
O: 0.435 0.250 0.547
O: 0.565 0.750 0.453
O: 0.714 0.250 0.354
O: 0.725 0.091 0.981
O: 0.725 0.409 0.981
O: 0.728 0.750 0.287
O: 0.772 0.250 0.787
O: 0.775 0.591 0.481
O: 0.775 0.909 0.481
O: 0.786 0.750 0.854
O: 0.935 0.250 0.953

The following is a PBE calculation of a geometry-optimized Th2CuN2O2 structure, from the Materials Project database.

Calculated values
Its space group is I4/mmm (139). For the energy of formation from the pure elements, the calculation gives -2.039 eV/atom.

a = 6.802 Å, b = 6.802 Å, c = 6.802 Å
α = 145.56°, β = 145.56°, γ = 49.50°
Atoms (fractional coordinates):
Th: 0.150 0.150 0.000
Th: 0.850 0.850 0.000
Cu: 0.500 0.500 0.000
N: 0.250 0.750 0.500
N: 0.750 0.250 0.500
O: 0.000 0.500 0.500
O: 0.500 0.000 0.500

The following is a PBE calculation of a geometry-optimized Cu11PdN4 structure, from the Materials Project database.

Calculated values
Its space group is P4/mmm (123). For the energy of formation from the pure elements, the calculation gives 0.536 eV/atom.

a = 7.469 Å, b = 7.469 Å, c = 3.807 Å
α = 90.00°, β = 90.00°, γ = 90.00°
Atoms (fractional coordinates):
Cu: 0.000 0.000 0.000
Cu: 0.000 0.500 0.000
Cu: 0.241 0.241 0.000
Cu: 0.241 0.759 0.000
Cu: 0.242 0.500 0.500
Cu: 0.500 0.000 0.000
Cu: 0.500 0.242 0.500
Cu: 0.500 0.758 0.500
Cu: 0.758 0.500 0.500
Cu: 0.759 0.241 0.000
Cu: 0.759 0.759 0.000
Pd: 0.500 0.500 0.000
N: 0.000 0.000 0.500
N: 0.000 0.500 0.500
N: 0.500 0.000 0.500
N: 0.500 0.500 0.500

The following is a PBE calculation of a geometry-optimized Cu11PdN4 structure, from the Materials Project database.

Calculated values
Its space group is P4/mmm (123). For the energy of formation from the pure elements, the calculation gives 0.454 eV/atom.

a = 7.457 Å, b = 7.457 Å, c = 3.746 Å
α = 90.00°, β = 90.00°, γ = 90.00°
Atoms (fractional coordinates):
Cu: 0.000 0.000 0.000
Cu: 0.000 0.257 0.500
Cu: 0.000 0.500 0.000
Cu: 0.000 0.743 0.500
Cu: 0.251 0.251 0.000
Cu: 0.251 0.749 0.000
Cu: 0.257 0.000 0.500
Cu: 0.500 0.000 0.000
Cu: 0.743 0.000 0.500
Cu: 0.749 0.251 0.000
Cu: 0.749 0.749 0.000
Pd: 0.500 0.500 0.000
N: 0.000 0.000 0.500
N: 0.000 0.500 0.500
N: 0.500 0.000 0.500
N: 0.500 0.500 0.500

The following is a PBE calculation of a geometry-optimized Cu6PdN2 structure, from the Materials Project database.

Calculated values
Its space group is P4/mmm (123). For the energy of formation from the pure elements, the calculation gives 0.109 eV/atom.

a = 3.835 Å, b = 3.835 Å, c = 7.709 Å
α = 90.00°, β = 90.00°, γ = 90.00°
Atoms (fractional coordinates):
Cu: 0.000 0.000 0.000
Cu: 0.000 0.000 0.500
Cu: 0.000 0.500 0.250
Cu: 0.000 0.500 0.750
Cu: 0.500 0.000 0.250
Cu: 0.500 0.000 0.750
Pd: 0.500 0.500 0.000
N: 0.000 0.000 0.256
N: 0.000 0.000 0.744

The following is a PBE calculation of a geometry-optimized Cu11PdN4 structure, from the Materials Project database.

Calculated values
Its space group is P4/mmm (123). For the energy of formation from the pure elements, the calculation gives 0.535 eV/atom.

a = 7.412 Å, b = 7.412 Å, c = 7.796 Å
α = 90.00°, β = 90.00°, γ = 90.00°
Atoms (fractional coordinates):
Cu: 0.000 0.000 0.231
Cu: 0.000 0.000 0.769
Cu: 0.000 0.254 0.500
Cu: 0.000 0.746 0.500
Cu: 0.237 0.500 0.000
Cu: 0.244 0.500 0.500
Cu: 0.245 0.245 0.244
Cu: 0.245 0.245 0.756
Cu: 0.245 0.755 0.244
Cu: 0.245 0.755 0.756
Cu: 0.254 0.000 0.500
Cu: 0.500 0.237 0.000
Cu: 0.500 0.244 0.500
Cu: 0.500 0.756 0.500
Cu: 0.500 0.763 0.000
Cu: 0.746 0.000 0.500
Cu: 0.755 0.245 0.244
Cu: 0.755 0.245 0.756
Cu: 0.755 0.755 0.244
Cu: 0.755 0.755 0.756
Cu: 0.756 0.500 0.500
Cu: 0.763 0.500 0.000
Pd: 0.500 0.500 0.249
Pd: 0.500 0.500 0.751
N: 0.000 0.000 0.000
N: 0.000 0.000 0.500
N: 0.000 0.500 0.000
N: 0.000 0.500 0.500
N: 0.500 0.000 0.000
N: 0.500 0.000 0.500
N: 0.500 0.500 0.000
N: 0.500 0.500 0.500

The following is a PBE calculation of a geometry-optimized Cu12PdN4 structure, from the Materials Project database.

Calculated values
Its space group is P4/mmm (123). For the energy of formation from the pure elements, the calculation gives 0.367 eV/atom.

a = 7.447 Å, b = 7.447 Å, c = 3.936 Å
α = 90.00°, β = 90.00°, γ = 90.00°
Atoms (fractional coordinates):
Cu: 0.000 0.249 0.000
Cu: 0.000 0.751 0.000
Cu: 0.244 0.500 0.000
Cu: 0.249 0.000 0.000
Cu: 0.249 0.249 0.500
Cu: 0.249 0.751 0.500
Cu: 0.500 0.244 0.000
Cu: 0.500 0.756 0.000
Cu: 0.751 0.000 0.000
Cu: 0.751 0.249 0.500
Cu: 0.751 0.751 0.500
Cu: 0.756 0.500 0.000
Pd: 0.500 0.500 0.500
N: 0.000 0.000 0.000
N: 0.000 0.500 0.000
N: 0.500 0.000 0.000
N: 0.500 0.500 0.000

The following is a PBE calculation of a geometry-optimized Cu11PdN4 structure, from the Materials Project database.

Calculated values
Its space group is P4/mmm (123). For the energy of formation from the pure elements, the calculation gives 0.231 eV/atom.

a = 7.610 Å, b = 7.610 Å, c = 3.920 Å
α = 90.00°, β = 90.00°, γ = 90.00°
Atoms (fractional coordinates):
Cu: 0.000 0.000 0.000
Cu: 0.000 0.250 0.500
Cu: 0.000 0.500 0.000
Cu: 0.000 0.750 0.500
Cu: 0.249 0.500 0.500
Cu: 0.250 0.000 0.500
Cu: 0.500 0.000 0.000
Cu: 0.500 0.249 0.500
Cu: 0.500 0.751 0.500
Cu: 0.750 0.000 0.500
Cu: 0.751 0.500 0.500
Pd: 0.500 0.500 0.000
N: 0.000 0.000 0.500
N: 0.000 0.500 0.500
N: 0.500 0.000 0.500
N: 0.500 0.500 0.500

The following is a PBE calculation of a geometry-optimized CuS4N structure, from the Materials Project database.

Calculated values
Its space group is P2_12_12_1 (19). For the energy of formation from the pure elements, the calculation gives 0.488 eV/atom.

a = 5.227 Å, b = 8.534 Å, c = 12.526 Å
α = 90.00°, β = 90.00°, γ = 90.00°
Atoms (fractional coordinates):
Cu: 0.022 0.142 0.430
Cu: 0.478 0.858 0.930
Cu: 0.522 0.358 0.570
Cu: 0.978 0.642 0.070
S: 0.043 0.583 0.599
S: 0.124 0.700 0.901
S: 0.134 0.352 0.661
S: 0.167 0.900 0.402
S: 0.333 0.100 0.902
S: 0.366 0.648 0.161
S: 0.376 0.300 0.401
S: 0.457 0.417 0.099
S: 0.543 0.917 0.401
S: 0.624 0.800 0.099
S: 0.634 0.148 0.339
S: 0.667 0.600 0.598
S: 0.833 0.400 0.098
S: 0.866 0.852 0.839
S: 0.876 0.200 0.599
S: 0.957 0.083 0.901
N: 0.156 0.066 0.160
N: 0.344 0.934 0.660
N: 0.656 0.434 0.840
N: 0.844 0.566 0.340

The following is a PBE calculation of a geometry-optimized Sr2CuN2 structure, from the Materials Project database.

Calculated values
Its space group is Immm (71). For the energy of formation from the pure elements, the calculation gives -0.577 eV/atom.

a = 6.919 Å, b = 6.919 Å, c = 6.919 Å
α = 147.90°, β = 147.81°, γ = 46.10°
Atoms (fractional coordinates):
Sr: 0.152 0.152 0.000
Sr: 0.848 0.848 0.000
Cu: 0.500 0.500 0.000
N: 0.358 0.358 0.000
N: 0.642 0.642 0.000

The following is a PBE calculation of a geometry-optimized Sr3CuN3 structure, from the Materials Project database.

Calculated values
Its space group is P2_1/m (11). For the energy of formation from the pure elements, the calculation gives -0.447 eV/atom.

a = 7.574 Å, b = 5.386 Å, c = 7.575 Å
α = 90.00°, β = 119.99°, γ = 90.00°
Atoms (fractional coordinates):
Sr: 0.076 0.250 0.361
Sr: 0.285 0.250 0.924
Sr: 0.362 0.750 0.286
Sr: 0.638 0.250 0.714
Sr: 0.715 0.750 0.076
Sr: 0.924 0.750 0.639
Cu: 0.333 0.750 0.666
Cu: 0.667 0.250 0.334
N: 0.098 0.750 0.404
N: 0.306 0.750 0.902
N: 0.405 0.250 0.306
N: 0.595 0.750 0.694
N: 0.694 0.250 0.098
N: 0.902 0.250 0.596

The following is a PBE calculation of a geometry-optimized TaCuN2 structure, from the Materials Project database.

Calculated values
Its space group is R-3m (166). For the energy of formation from the pure elements, the calculation gives -0.460 eV/atom.

a = 5.354 Å, b = 5.354 Å, c = 5.354 Å
α = 34.27°, β = 34.27°, γ = 34.27°
Atoms (fractional coordinates):
Ta: 0.000 0.000 0.000
Cu: 0.500 0.500 0.500
N: 0.262 0.262 0.262
N: 0.738 0.738 0.738

Computed M_tot, in the same sequence as the records: 20.4, 6.7, 5.9, 12.0, 0.0, 0.0, 0.1, 0.0, 2.1, 0.0, 0.0, 11.4, 0.9, 4.0, 0.0 μB/cell.